Record 1
VASP calculation (PBE+U) on a relaxed LiFeP4O12 crystal.

a = 11.7985 Å, b = 8.2976 Å, c = 10.0620 Å
α = 90.00°, β = 119.13°, γ = 90.00°
Last column: nearest neighbours and their distance in Å.
Space group Cc (No. 9)
Inequivalent atoms, fractional coordinates:
Li 0.0000 0.2459 0.0000 x4  6 O 2.00-2.19
Fe 0.2487 0.0502 0.2490 x4  6 O 1.96-2.08
P 0.0476 0.4862 0.3017 x4  3 O 1.45-1.63
P 0.2389 0.2577 0.5197 x4  4 O 1.50-1.60
P 0.2590 0.2584 0.9771 x4  4 O 1.50-1.60
P 0.4503 0.4878 0.1983 x4  3 O 1.47-1.63
O 0.0185 0.4197 0.1547 x4  1 P 1.45
O 0.0558 0.0718 0.1786 x4  1 P 1.52
O 0.1041 0.3530 0.4377 x4  2 P 1.60-1.63
O 0.1655 0.3799 0.8463 x4  2 P 1.60-1.66
O 0.2077 0.2287 0.0868 x4  1 P 1.52
O 0.2186 0.1143 0.5956 x4  1 P 1.50
O 0.2834 0.1168 0.9022 x4  1 P 1.50
O 0.2899 0.2297 0.4093 x4  1 P 1.52
O 0.3307 0.3818 0.6488 x4  2 P 1.60-1.65
O 0.3923 0.3564 0.0609 x4  2 P 1.60-1.63
O 0.4421 0.0728 0.3197 x4  1 P 1.52
O 0.4773 0.4231 0.3469 x4  1 P 1.47

Output
E_form = -45.42 eV per formula unit
electronic total energy = -7.02 eV per atom


Record 2
VASP calculation (PBE+U) on a relaxed PrMgNi2O6 crystal.

a = 7.4912 Å, b = 5.4163 Å, c = 5.2413 Å
α = 90.00°, β = 90.00°, γ = 90.00°
Last column: nearest neighbours and their distance in Å.
Space group Pmn2_1 (No. 31)
Inequivalent atoms, fractional coordinates:
Pr 0.0000 0.2035 0.0000 x2  6 O 2.34-2.54
Mg 0.0000 0.6875 0.4628 x2  6 O 2.13-2.24
Ni 0.2487 0.7495 0.9886 x4  6 O 1.93-1.99
O 0.0000 0.3016 0.5650 x2  2 Ni 1.94, 1 Mg 2.16
O 0.0000 0.7681 0.8601 x2  2 Ni 1.98, 1 Mg 2.13
O 0.1928 0.9463 0.2986 x4  2 Ni 1.97-1.99, 1 Mg 2.19
O 0.1942 0.4821 0.2181 x4  2 Ni 1.93-1.94

Output
E_form = -19.56 eV per formula unit
electronic total energy = -5.80 eV per atom


> electronic total energy of number 2 (PrMgNi2O6)?

-5.80 eV per atom